Density functional theory data (PBE with a Hubbard U) for CsLuMo2O8 after structural relaxation.

abc: 6.0018 6.0018 8.1654
angles: 90.00 90.00 120.00
Closest atoms and distances in Å follow each position.
Space group P-3m1 (No. 164)
Unique sites:
Cs1 0.0000 0.0000 0.0000  12 O 3.26-3.49
Lu1 0.0000 0.0000 0.5000  6 O 2.20
Mo1 0.3333 0.6667 0.2660  4 O 1.76-1.81
O1 0.1682 0.3365 0.3367  1 Mo 1.81
O2 0.3333 0.6667 0.0510  1 Mo 1.76

Computed properties:
Volume, Å³ per atom: 21.2
Magnetization, μB per atom: 0.000
E_form, meV per atom: -2587.4